1.
Compound: HfCu2P2
Source: the Materials Project database
Functional: GGA-PBE
Structure: relaxed Values from VASP.

The structure in Quantum ESPRESSO input format:
```
&SYSTEM
  ibrav = 0, nat = 5, ntyp = 3
/
ATOMIC_SPECIES
Cu 63.55 Cu.upf
P 30.97 P.upf
Hf 178.49 Hf.upf
CELL_PARAMETERS angstrom
3.149 2.054 0.574
0.010 -3.735 0.714
1.768 -1.099 -5.771
ATOMIC_POSITIONS angstrom
Cu 1.696 -2.204 -1.423
Cu 3.230 -0.577 -3.061
P 2.389 -2.634 -3.684
P 2.538 -0.146 -0.800
Hf 0.000 0.000 0.000
```

Values from the calculation:
electronic total energy	-6.41	eV per atom
E_form	-0.615	eV per atom
crystal system	trigonal
symmetry	P-3m1


2.
Compound: KIO3
Source: the Materials Project database
Functional: GGA-PBE
Structure: relaxed Values from VASP.

The structure in Quantum ESPRESSO input format:
```
&SYSTEM
  ibrav = 0, nat = 5, ntyp = 3
/
ATOMIC_SPECIES
O 16.00 O.upf
I 126.90 I.upf
K 39.10 K.upf
CELL_PARAMETERS angstrom
3.241 -3.168 0.000
3.241 3.168 0.000
0.144 0.000 4.530
ATOMIC_POSITIONS angstrom
O 2.176 -1.408 2.472
O 2.176 1.408 2.472
O 3.553 0.000 0.459
I 3.347 0.000 2.288
K 0.046 0.000 0.032
```

Values from the calculation:
piezoelectric modulus e_max	1.70	C/m2
electronic total energy	-4.45	eV per atom
E_form	-1.365	eV per atom
crystal system	trigonal
symmetry	R3m


3.
Compound: PHSF2
Source: the Materials Project database
Functional: GGA-PBE
Structure: relaxed Values from VASP.

The structure in Quantum ESPRESSO input format:
```
&SYSTEM
  ibrav = 0, nat = 20, ntyp = 4
/
ATOMIC_SPECIES
P 30.97 P.upf
F 19.00 F.upf
S 32.06 S.upf
H 1.01 H.upf
CELL_PARAMETERS angstrom
4.504 0.000 0.000
0.000 8.675 0.000
0.000 1.331 9.309
ATOMIC_POSITIONS angstrom
P 2.063 1.692 6.777
P 4.315 3.976 2.531
P 0.189 6.029 6.777
P 2.441 8.314 2.531
F 3.422 4.726 3.600
F 0.646 3.063 3.518
F 3.334 9.063 3.600
F 1.606 7.401 3.518
F 3.858 6.942 5.791
F 2.898 2.605 5.791
F 1.170 0.942 5.709
F 1.082 5.280 5.709
S 1.121 2.593 8.147
S 3.383 7.412 1.162
S 1.131 6.931 8.147
S 3.374 3.075 1.162
H 3.015 9.381 7.110
H 0.763 4.962 2.199
H 1.489 0.624 2.199
H 3.741 5.044 7.110
```

Values from the calculation:
electronic total energy	-4.66	eV per atom
E_form	-1.593	eV per atom
crystal system	monoclinic
symmetry	P2_1/c


4.
Compound: LiCo2N3
Source: the Materials Project database
Functional: GGA-PBE
Structure: relaxed Values from VASP.

The structure in Quantum ESPRESSO input format:
```
&SYSTEM
  ibrav = 0, nat = 12, ntyp = 3
/
ATOMIC_SPECIES
N 14.01 N.upf
Co 58.93 Co.upf
Li 6.94 Li.upf
CELL_PARAMETERS angstrom
-2.642 3.304 3.391
2.978 -4.031 1.971
3.931 2.981 0.157
ATOMIC_POSITIONS angstrom
N 5.722 -0.142 1.549
N 3.355 2.457 2.107
N 0.518 2.145 1.452
N 2.491 0.081 0.632
N 1.742 0.426 3.446
N 4.578 0.738 4.101
Co 3.027 4.040 1.284
Co 2.034 1.232 1.850
Co 4.128 2.459 3.746
Co 3.135 -0.349 4.311
Li 3.889 -1.282 1.401
Li 4.826 1.601 0.799
```

Values from the calculation:
electronic total energy	-6.76	eV per atom
E_form	-0.088	eV per atom
crystal system	orthorhombic
symmetry	Cmc2_1


5.
Compound: La2ZnGa
Source: the Materials Project database
Functional: GGA-PBE
Structure: relaxed Values from VASP.

The structure in Quantum ESPRESSO input format:
```
&SYSTEM
  ibrav = 0, nat = 4, ntyp = 3
/
ATOMIC_SPECIES
La 138.91 La.upf
Zn 65.41 Zn.upf
Ga 69.72 Ga.upf
CELL_PARAMETERS angstrom
0.000 3.778 3.778
3.778 0.000 3.778
3.778 3.778 0.000
ATOMIC_POSITIONS angstrom
La 1.889 1.889 1.889
La 5.667 5.667 5.667
Zn 0.000 0.000 0.000
Ga 3.778 3.778 3.778
```

Values from the calculation:
electronic total energy	-3.99	eV per atom
E_form	-0.451	eV per atom
crystal system	cubic
symmetry	Fm-3m


6.
Compound: SrAl7Tl5Si5O24
Source: the Materials Project database
Functional: GGA-PBE
Structure: relaxed Values from VASP.

The structure in Quantum ESPRESSO input format:
```
&SYSTEM
  ibrav = 0, nat = 84, ntyp = 5
/
ATOMIC_SPECIES
Al 26.98 Al.upf
O 16.00 O.upf
Si 28.09 Si.upf
Tl 204.38 Tl.upf
Sr 87.62 Sr.upf
CELL_PARAMETERS angstrom
-11.899 -3.130 -2.107
2.582 -1.319 -12.221
2.830 -12.053 2.144
ATOMIC_POSITIONS angstrom
Al 2.131 -9.326 -11.243
Al -1.218 -1.139 -4.908
Al 1.444 -4.631 -1.395
Al 0.505 -12.328 -10.951
Al 3.085 -5.637 -9.215
Al -8.635 -3.145 -6.181
Al -7.972 -11.589 -10.542
Al 2.245 -7.868 -0.838
Al -3.947 -1.375 -2.832
Al -7.886 -13.999 -8.057
Al -6.013 -8.360 -13.038
Al -2.553 -13.274 -11.571
Al -7.887 -10.191 -0.423
Al -8.524 -13.491 -4.897
O 2.815 -12.131 -6.474
O -5.257 -4.334 -0.594
O 1.932 -6.298 -1.539
O 2.695 -8.813 -2.249
O 1.869 -5.825 -10.436
O -5.081 -9.775 -12.694
O -0.178 -5.710 -11.957
O -7.218 -3.532 -2.282
O 1.950 -3.518 -5.645
O 0.770 -8.582 -0.128
O 2.081 -11.525 -2.397
O 3.871 -9.790 -7.309
O 1.424 -13.407 -4.490
O -9.554 -6.867 -2.287
O -9.319 -4.749 -5.934
O -7.086 -13.961 -3.970
O -7.592 -2.812 -4.814
O -8.276 -9.893 -10.057
O -3.954 -2.614 -10.289
O 2.453 -4.382 -8.068
O -4.868 -4.556 -11.816
O -2.558 -1.488 -3.861
O -3.888 -12.169 -11.804
O -2.681 -13.850 -1.272
O -5.030 -6.915 -12.916
O -6.259 -14.804 -8.054
O 2.656 -8.797 -9.629
O 0.796 -13.143 -9.354
O -1.130 -12.390 -11.338
O -8.448 -5.241 -9.467
O -5.196 -13.132 -0.684
O -7.871 -3.199 -7.779
O 0.014 -2.286 -4.316
O -1.380 -6.671 0.323
O -8.326 -11.131 -1.806
O -1.551 -2.232 -9.136
O -2.993 -14.124 -10.031
O -0.316 -4.523 -0.929
O -7.253 -8.022 -11.744
O -1.046 -11.795 0.056
O 1.577 -3.978 -3.028
O -3.487 -2.523 -1.526
O 0.701 -2.479 -7.843
O -6.366 -11.706 -11.221
O 1.100 -10.670 -10.643
O -6.504 -3.534 -10.042
O -8.263 -13.274 -6.571
O -1.699 -3.773 -11.168
Si -7.994 -3.592 -9.323
Si -2.357 -2.368 -10.561
Si -0.613 -1.455 -8.009
Si -4.293 -5.495 -13.047
Si -1.377 -4.731 -12.498
Si -5.300 -3.157 -11.095
Si -7.041 -2.289 -3.396
Si -10.343 -5.935 -6.258
Si 2.084 -3.049 -7.208
Si -1.238 -5.066 0.308
Tl 2.430 -7.148 -3.859
Tl -7.532 -13.508 -1.679
Tl -0.857 -2.092 -1.886
Tl -5.577 -14.148 -10.589
Tl -0.319 -4.928 -9.180
Tl 1.132 -10.959 -0.295
Tl 0.520 -9.406 -8.714
Tl 3.224 -11.932 -9.047
Tl -4.329 -10.414 -10.231
Tl -7.580 -5.874 -13.760
Sr -7.047 -7.722 -9.422
Sr -0.721 -7.072 -5.934
```

Values from the calculation:
electronic total energy	-6.82	eV per atom
E_form	-2.796	eV per atom
crystal system	triclinic
symmetry	P1


7.
Compound: Mg14GaBi
Source: the Materials Project database
Functional: GGA-PBE
Structure: relaxed Values from VASP.

The structure in Quantum ESPRESSO input format:
```
&SYSTEM
  ibrav = 0, nat = 16, ntyp = 3
/
ATOMIC_SPECIES
Mg 24.30 Mg.upf
Ga 69.72 Ga.upf
Bi 208.98 Bi.upf
CELL_PARAMETERS angstrom
-4.536 3.216 -3.161
-0.464 -6.342 0.683
-5.207 1.332 8.828
ATOMIC_POSITIONS angstrom
Mg -6.434 0.860 3.638
Mg -8.641 -0.384 5.539
Mg -6.416 -2.003 7.169
Mg -4.394 -3.917 5.562
Mg -6.046 -1.048 1.139
Mg -3.523 0.527 2.316
Mg -5.762 2.115 0.755
Mg -3.832 0.193 -0.777
Mg -1.789 -4.583 1.148
Mg -4.063 -2.971 -0.436
Mg -6.182 1.208 6.823
Mg -8.421 2.795 5.263
Mg -3.757 -2.684 2.662
Mg -6.666 -2.306 3.979
Ga -1.561 -1.412 0.804
Bi -4.165 -0.746 5.218
```

Values from the calculation:
electronic total energy	-1.86	eV per atom
E_form	-0.030	eV per atom
crystal system	hexagonal
symmetry	P-6m2


8.
Compound: Y2Si2O7
Source: the Materials Project database
Functional: GGA-PBE
Structure: relaxed Values from VASP.

The structure in Quantum ESPRESSO input format:
```
&SYSTEM
  ibrav = 0, nat = 22, ntyp = 3
/
ATOMIC_SPECIES
O 16.00 O.upf
Si 28.09 Si.upf
Y 88.91 Y.upf
CELL_PARAMETERS angstrom
10.939 0.000 0.000
0.000 4.760 0.000
0.000 0.602 5.617
ATOMIC_POSITIONS angstrom
O 7.469 0.625 0.220
O 0.553 4.302 4.856
O 3.269 1.959 1.421
O 10.386 1.059 0.761
O 8.940 0.926 3.028
O 6.023 1.360 3.569
O 2.200 2.260 4.230
O 4.917 4.001 2.047
O 1.999 4.436 2.588
O 3.471 4.736 5.397
O 8.739 3.102 1.387
O 0.000 2.681 2.808
O 5.470 2.380 0.000
O 7.670 3.403 4.195
Si 4.249 3.126 0.812
Si 6.690 2.236 4.805
Si 1.221 3.427 3.620
Si 9.719 1.935 1.996
Y 9.286 4.790 5.091
Y 3.816 0.872 3.334
Y 7.123 4.489 2.283
Y 1.653 0.571 0.526
```

Values from the calculation:
electronic total energy	-8.54	eV per atom
E_form	-3.663	eV per atom
crystal system	monoclinic
symmetry	P2_1/c


9.
Compound: Zn2CdN2
Source: the Materials Project database
Functional: GGA-PBE
Structure: relaxed Values from VASP.

The structure in Quantum ESPRESSO input format:
```
&SYSTEM
  ibrav = 0, nat = 5, ntyp = 3
/
ATOMIC_SPECIES
Zn 65.41 Zn.upf
N 14.01 N.upf
Cd 112.41 Cd.upf
CELL_PARAMETERS angstrom
3.468 0.000 0.000
-1.734 3.004 0.000
0.000 0.000 6.111
ATOMIC_POSITIONS angstrom
Zn 1.734 1.001 0.905
Zn 0.000 2.002 5.206
N 0.000 2.003 1.430
N 1.734 1.001 4.681
Cd 0.000 0.000 3.056
```

Values from the calculation:
electronic total energy	-3.71	eV per atom
E_form	0.167	eV per atom
crystal system	trigonal
symmetry	P-3m1


10.
Compound: LiTl6Si2O7
Source: the Materials Project database
Functional: GGA-PBE
Structure: relaxed Values from VASP.

The structure in Quantum ESPRESSO input format:
```
&SYSTEM
  ibrav = 0, nat = 16, ntyp = 4
/
ATOMIC_SPECIES
O 16.00 O.upf
Tl 204.38 Tl.upf
Li 6.94 Li.upf
Si 28.09 Si.upf
CELL_PARAMETERS angstrom
1.840 4.824 -0.564
8.694 -2.461 0.648
4.293 -2.253 -7.467
ATOMIC_POSITIONS angstrom
O 5.025 0.230 -2.386
O 10.719 -1.997 -4.042
O 8.942 -1.399 -6.026
O 7.983 -2.061 -3.533
O 5.653 2.433 -0.916
O 7.041 1.891 -3.149
O 4.433 2.685 -3.303
Tl 7.571 0.327 -7.334
Tl 12.611 -0.246 -4.903
Tl 2.443 0.230 -2.226
Tl 5.636 -1.280 -4.349
Tl 9.160 0.838 -2.605
Tl 5.963 -1.017 -0.501
Li 10.337 -0.340 -6.660
Si 9.199 -2.133 -4.598
Si 5.549 1.804 -2.455
```

Values from the calculation:
electronic total energy	-5.26	eV per atom
E_form	-1.707	eV per atom
crystal system	triclinic
symmetry	P1


11.
Compound: CaLaI5
Source: the Materials Project database
Functional: GGA-PBE
Structure: relaxed Values from VASP.

The structure in Quantum ESPRESSO input format:
```
&SYSTEM
  ibrav = 0, nat = 28, ntyp = 3
/
ATOMIC_SPECIES
La 138.91 La.upf
I 126.90 I.upf
Ca 40.08 Ca.upf
CELL_PARAMETERS angstrom
-3.954 -0.914 -1.938
-0.361 -13.446 7.079
-8.709 7.679 14.142
ATOMIC_POSITIONS angstrom
La -8.959 -5.827 13.196
La -8.425 2.785 13.262
La -4.599 -9.467 6.020
La -4.065 -0.855 6.086
I -9.452 2.959 10.058
I -6.089 -4.521 11.943
I -7.478 -8.401 11.390
I -6.935 -2.161 7.339
I -6.956 -0.021 11.589
I -2.517 -0.709 2.859
I -6.010 0.675 4.114
I -11.761 -1.883 17.051
I -5.169 -3.550 4.393
I -7.855 -3.132 14.889
I -10.475 0.377 13.363
I -7.014 -7.357 15.168
I -6.068 -6.661 7.693
I -2.548 -7.059 5.919
I -11.209 4.676 12.832
I -1.815 -11.358 6.450
I -10.507 -5.972 16.423
I -1.263 -4.799 2.231
I -5.546 1.720 7.892
I -3.572 -9.640 9.224
Ca -4.809 -7.031 10.517
Ca -3.852 -3.193 1.538
Ca -8.215 0.350 8.765
Ca -9.172 -3.489 17.744
```

Values from the calculation:
electronic total energy	-3.64	eV per atom
E_form	-1.834	eV per atom
crystal system	orthorhombic
symmetry	Pnma


12.
Compound: In3Sb5O12
Source: the Materials Project database
Functional: GGA-PBE
Structure: relaxed Values from VASP.

The structure in Quantum ESPRESSO input format:
```
&SYSTEM
  ibrav = 0, nat = 40, ntyp = 3
/
ATOMIC_SPECIES
In 114.82 In.upf
O 16.00 O.upf
Sb 121.76 Sb.upf
CELL_PARAMETERS angstrom
-5.364 5.364 5.364
5.364 -5.364 5.364
5.364 5.364 -5.364
ATOMIC_POSITIONS angstrom
In 0.000 5.364 2.682
In 2.682 0.000 5.364
In 2.682 5.364 0.000
In 0.000 2.682 5.364
In 5.364 0.000 2.682
In 5.364 2.682 0.000
O 1.126 -1.126 4.316
O 1.048 4.238 4.238
O 7.121 1.468 -1.468
O 6.411 1.126 1.126
O 1.126 4.316 -1.126
O 1.468 3.606 1.468
O 1.468 -1.468 7.121
O -1.468 1.468 7.121
O 3.606 1.468 1.468
O 3.896 3.896 -1.758
O 4.316 -1.126 1.126
O 4.238 4.238 1.048
O -1.126 4.316 1.126
O -1.758 3.896 3.896
O 4.316 1.126 -1.126
O 7.121 -1.468 1.468
O 1.468 7.121 -1.468
O -1.126 1.126 4.316
O -1.468 7.121 1.468
O 1.468 1.468 3.606
O 1.126 1.126 6.411
O 4.238 1.048 4.238
O 3.896 -1.758 3.896
O 1.126 6.411 1.126
Sb 0.000 3.038 0.000
Sb 2.589 -2.589 2.589
Sb 2.775 2.775 2.775
Sb 7.690 0.000 0.000
Sb 0.000 7.690 0.000
Sb 0.000 0.000 3.038
Sb -2.589 2.589 2.589
Sb 3.038 0.000 0.000
Sb 2.589 2.589 -2.589
Sb 0.000 0.000 7.690
```

Values from the calculation:
electronic total energy	-5.83	eV per atom
E_form	-1.825	eV per atom
crystal system	cubic
symmetry	I-43m


13.
Compound: MgVWS4
Source: the Materials Project database
Functional: GGA-PBE
Structure: relaxed Values from VASP.

The structure in Quantum ESPRESSO input format:
```
&SYSTEM
  ibrav = 0, nat = 14, ntyp = 4
/
ATOMIC_SPECIES
S 32.06 S.upf
Mg 24.30 Mg.upf
V 50.94 V.upf
W 183.84 W.upf
CELL_PARAMETERS angstrom
6.060 -0.002 3.496
2.010 6.021 3.510
-0.157 -0.094 7.263
ATOMIC_POSITIONS angstrom
S 2.986 4.332 5.319
S 3.095 4.381 8.957
S 1.977 1.483 7.066
S 4.818 1.545 5.313
S 4.927 1.595 8.950
S 5.936 4.443 7.203
S 2.076 1.546 3.731
S 5.837 4.380 10.538
Mg 0.991 0.740 1.779
Mg 6.922 5.186 12.490
V 4.035 3.010 3.504
V 4.961 5.974 8.889
W 3.955 2.963 7.134
W 0.928 2.964 5.387
```

Values from the calculation:
electronic total energy	-6.46	eV per atom
E_form	-1.009	eV per atom
crystal system	monoclinic
symmetry	C2/m


14.
Compound: Be2RuAu
Source: the Materials Project database
Functional: GGA-PBE
Structure: relaxed Values from VASP.

The structure in Quantum ESPRESSO input format:
```
&SYSTEM
  ibrav = 0, nat = 4, ntyp = 3
/
ATOMIC_SPECIES
Ru 101.07 Ru.upf
Be 9.01 Be.upf
Au 196.97 Au.upf
CELL_PARAMETERS angstrom
-2.285 -2.186 2.500
-2.704 1.821 2.371
-3.939 -0.436 -0.732
ATOMIC_POSITIONS angstrom
Ru 0.000 0.000 0.000
Be -2.232 -0.200 1.035
Be -6.696 -0.600 3.104
Au -4.464 -0.400 2.069
```

Values from the calculation:
electronic total energy	-5.26	eV per atom
E_form	-0.258	eV per atom
crystal system	cubic
symmetry	Fm-3m


15.
Compound: NbP
Source: the Materials Project database
Functional: GGA-PBE
Structure: relaxed Values from VASP.

The structure in Quantum ESPRESSO input format:
```
&SYSTEM
  ibrav = 0, nat = 2, ntyp = 2
/
ATOMIC_SPECIES
Nb 92.91 Nb.upf
P 30.97 P.upf
CELL_PARAMETERS angstrom
0.000 -1.779 -2.494
0.000 1.779 -2.494
3.555 0.000 0.000
ATOMIC_POSITIONS angstrom
Nb 0.000 0.000 0.000
P 1.778 0.000 -2.494
```

Values from the calculation:
electronic total energy	-8.13	eV per atom
E_form	-0.369	eV per atom
crystal system	orthorhombic
symmetry	Cmmm


16.
Compound: Ca3SiBr2
Source: the Materials Project database
Functional: GGA-PBE
Structure: relaxed Values from VASP.

The structure in Quantum ESPRESSO input format:
```
&SYSTEM
  ibrav = 0, nat = 6, ntyp = 3
/
ATOMIC_SPECIES
Ca 40.08 Ca.upf
Br 79.90 Br.upf
Si 28.09 Si.upf
CELL_PARAMETERS angstrom
11.770 -2.089 0.000
11.770 2.089 0.000
11.399 0.000 3.598
ATOMIC_POSITIONS angstrom
Ca 34.897 0.000 3.594
Ca 20.030 0.000 2.063
Ca 15.764 0.000 1.624
Br 29.382 0.000 3.026
Br 25.463 0.000 2.622
Si 9.991 0.000 1.029
```

Values from the calculation:
electronic total energy	-3.50	eV per atom
E_form	-1.221	eV per atom
crystal system	trigonal
symmetry	R3m


17.
Compound: CeSiRh
Source: the Materials Project database
Functional: GGA-PBE
Structure: relaxed Values from VASP.

The structure in Quantum ESPRESSO input format:
```
&SYSTEM
  ibrav = 0, nat = 12, ntyp = 3
/
ATOMIC_SPECIES
Ce 140.12 Ce.upf
Rh 102.91 Rh.upf
Si 28.09 Si.upf
CELL_PARAMETERS angstrom
6.320 0.000 0.000
0.000 6.320 0.000
0.000 0.000 6.320
ATOMIC_POSITIONS angstrom
Ce 0.842 4.002 5.478
Ce 2.318 2.318 2.318
Ce 4.002 5.478 0.842
Ce 5.478 0.842 4.002
Rh 5.876 3.603 2.716
Rh 2.716 5.876 3.603
Rh 0.444 0.444 0.444
Rh 3.603 2.716 5.876
Si 4.236 4.236 4.236
Si 5.244 2.084 1.076
Si 1.076 5.244 2.084
Si 2.084 1.076 5.244
```

Values from the calculation:
electronic total energy	-7.12	eV per atom
E_form	-0.877	eV per atom
crystal system	cubic
symmetry	P2_13